No. 1
Here is an optimized crystal structure of CrMoO4 from the Materials Project. Energies are from r²SCAN.

formation enthalpy at 0 K	-2.2317	eV/atom
E	-13.071	eV/atom

Unit cell a=2.912 b=4.634 c=4.637 alpha=91.92 beta=90.00 gamma=90.00
Fractional coordinates of all 6 atoms:
Cr1 0.000 0.500 0.000
Mo1 0.500 0.000 0.500
O1 0.500 0.705 0.204
O2 0.500 0.295 0.796
O3 0.000 0.206 0.295
O4 0.000 0.794 0.705


No. 2
Here is an optimized crystal structure of Cr2Mo3O12 from the Materials Project. Energies are from r²SCAN.

formation enthalpy at 0 K	-2.2233	eV/atom
E	-12.813	eV/atom

Unit cell a=9.203 b=9.274 c=12.694 alpha=90.00 beta=90.00 gamma=90.00
Fractional coordinates of all 68 atoms:
Cr1 0.250 0.536 0.620
Cr2 0.750 0.036 0.620
Cr3 0.250 0.036 0.880
Cr4 0.250 0.464 0.120
Cr5 0.750 0.536 0.880
Cr6 0.750 0.964 0.120
Cr7 0.250 0.964 0.380
Cr8 0.750 0.464 0.380
Mo1 0.100 0.621 0.354
Mo2 0.024 0.750 0.000
Mo3 0.976 0.250 0.000
Mo4 0.900 0.121 0.354
Mo5 0.900 0.379 0.646
Mo6 0.600 0.879 0.854
Mo7 0.476 0.250 0.500
Mo8 0.400 0.121 0.146
Mo9 0.524 0.750 0.500
Mo10 0.100 0.879 0.646
Mo11 0.400 0.379 0.854
Mo12 0.600 0.621 0.146
O1 0.824 0.420 0.522
O2 0.911 0.903 0.642
O3 0.676 0.920 0.978
O4 0.089 0.171 0.903
O5 0.676 0.580 0.022
O6 0.411 0.671 0.597
O7 0.089 0.403 0.642
O8 0.324 0.080 0.022
O9 0.366 0.304 0.176
O10 0.134 0.804 0.324
O11 0.411 0.903 0.858
O12 0.089 0.329 0.097
O13 0.132 0.881 0.938
O14 0.866 0.304 0.324
O15 0.634 0.696 0.824
O16 0.911 0.829 0.097
O17 0.868 0.119 0.062
O18 0.366 0.196 0.824
O19 0.589 0.097 0.142
O20 0.089 0.097 0.358
O21 0.176 0.580 0.478
O22 0.822 0.007 0.259
O23 0.411 0.829 0.403
O24 0.368 0.119 0.438
O25 0.324 0.420 0.978
O26 0.866 0.196 0.676
O27 0.911 0.597 0.358
O28 0.134 0.696 0.676
O29 0.868 0.381 0.938
O30 0.368 0.381 0.562
O31 0.411 0.597 0.142
O32 0.178 0.507 0.259
O33 0.634 0.804 0.176
O34 0.178 0.993 0.741
O35 0.824 0.080 0.478
O36 0.589 0.403 0.858
O37 0.176 0.920 0.522
O38 0.322 0.493 0.759
O39 0.589 0.329 0.403
O40 0.822 0.493 0.741
O41 0.678 0.507 0.241
O42 0.911 0.671 0.903
O43 0.632 0.619 0.438
O44 0.322 0.007 0.241
O45 0.632 0.881 0.562
O46 0.132 0.619 0.062
O47 0.589 0.171 0.597
O48 0.678 0.993 0.759